Entry from the Materials Project: ErIn5Co after structural relaxation (r2SCAN).

Cell: 4.534 4.534 7.414 Å, 90.00 90.00 90.00°
Fractional positions:
1 Er 0.000 0.000 0.000
2 In 0.500 0.500 0.000
3 In 0.500 0.000 0.694
4 In 0.000 0.500 0.306
5 In 0.500 0.000 0.306
6 In 0.000 0.500 0.694
7 Co 0.000 0.000 0.500

Formation energy (eV per atom): -0.287
Electronic total energy (eV/atom): -23.1521
Magnetic moment (μB per cell): 0.000